DFT (r2SCAN) results for a relaxed SrY2S4 crystal.

As for the calculated volume: 24.6 Å³/atom. Its space group is Pnma, No. 62. For the electronic total energy, the calculation gives -14.9981 eV/atom. The calculation puts the calculated density at 3.795 g/cm³.

The structure in extended XYZ format:
```
28
Lattice="3.993 0.000 0.000 0.000 12.023 0.000 0.000 0.000 14.353" Properties=species:S:1:pos:R:3 pbc="T T T"
S 2.995 11.753 4.077
S 0.998 6.281 11.254
S 2.995 7.041 8.301
S 0.998 10.993 1.124
S 2.995 1.030 13.229
S 0.998 4.982 6.052
S 0.998 1.560 6.793
S 2.995 10.462 7.560
S 0.998 8.507 4.673
S 0.998 7.572 0.384
S 2.995 5.742 3.099
S 0.998 0.269 10.275
S 2.995 3.516 9.680
S 0.998 2.495 2.503
S 2.995 4.451 13.969
S 2.995 9.527 11.850
Y 2.995 6.825 5.592
Y 0.998 5.040 1.449
Y 0.998 11.051 5.727
Y 0.998 5.198 8.760
Y 2.995 6.983 12.904
Y 2.995 0.971 8.626
Y 0.998 11.209 12.769
Y 2.995 0.814 1.584
Sr 2.995 2.914 4.855
Sr 2.995 8.925 2.322
Sr 0.998 9.109 9.498
Sr 0.998 3.097 12.031
```